# 1
! Y3HoFe4Ge8O28 (PBE+U, optimized geometry); values from VASP
! Crystal system: triclinic
! ΔE_f in eV per atom: -2.47
&SYSTEM
  ibrav = 0, nat = 44, ntyp = 5
/
ATOMIC_SPECIES
Y 88.91 Y.upf
Ho 164.93 Ho.upf
Fe 55.84 Fe.upf
Ge 72.64 Ge.upf
O 16.00 O.upf
ATOMIC_POSITIONS angstrom
Y 0.0000 0.0000 0.0000
Y 1.7979 3.6111 9.6533
Y 4.3577 7.9376 4.8809
Ho 4.3562 4.3367 4.8803
Fe 0.9747 0.1250 4.8348
Fe 0.9740 3.4868 4.8350
Fe 3.3824 4.4485 0.0454
Fe 3.3823 7.8104 0.0452
Ge 1.9292 6.1285 2.7610
Ge 2.8574 1.8078 6.7555
Ge 3.3022 6.1282 7.7747
Ge 2.4287 1.8042 2.1206
Ge 6.2001 1.8049 7.5570
Ge 5.3251 6.1276 1.9590
Ge 5.7850 1.8081 2.9261
Ge 6.7094 6.1287 6.9757
O 0.3742 6.1252 1.8742
O 1.3968 1.8081 3.5901
O 2.3016 1.8061 8.4102
O 2.1769 7.5615 3.7825
O 2.1851 4.6990 3.7855
O 2.6435 0.2678 5.9152
O 2.6561 3.3425 5.9053
O 3.5121 4.5923 8.6166
O 3.5103 7.6665 8.6149
O 2.1791 0.3731 1.0978
O 2.1811 3.2356 1.0994
O 2.9530 6.1301 1.2883
O 3.8604 6.1219 6.1166
O 3.9800 1.7957 3.0128
O 4.6876 1.7962 6.5955
O 5.5838 6.1310 8.3782
O 4.7079 6.1213 3.5948
O 6.4027 0.3821 8.6092
O 6.4009 3.2280 8.6078
O 5.0725 4.6061 1.0972
O 5.0735 7.6513 1.0991
O 6.0270 3.3295 3.7945
O 6.0394 0.2822 3.7854
O 6.4962 4.7082 5.9209
O 6.5099 7.5539 5.9253
O 6.4013 1.8065 1.2936
O 7.3312 1.8092 6.1563
O 8.2263 6.1254 7.9314
CELL_PARAMETERS angstrom
6.7555 0.0000 0.0000
0.0005 8.6519 0.0000
1.7976 0.0007 9.6545

# 2
! Lu3ScV4O12 (PBE+U, optimized geometry); values from VASP
! Crystal system: monoclinic
! ΔE_f in eV per atom: -3.29
&SYSTEM
  ibrav = 0, nat = 20, ntyp = 4
/
ATOMIC_SPECIES
Lu 174.97 Lu.upf
Sc 44.96 Sc.upf
V 50.94 V.upf
O 16.00 O.upf
ATOMIC_POSITIONS angstrom
Lu 0.0000 0.0000 0.0000
Lu 0.2593 3.8030 0.8562
Lu 2.8021 0.0000 2.8508
Sc 2.5988 3.8030 3.5900
V 0.0751 1.9153 3.2418
V 0.0751 5.6906 3.2418
V 2.7508 1.9163 0.4195
V 2.7508 5.6896 0.4195
O 0.7617 0.0000 3.5271
O 1.0252 2.4036 4.9800
O 1.0252 5.2023 4.9800
O 1.7457 2.4427 2.2111
O 1.7457 5.1632 2.2111
O 2.0663 0.0000 0.7320
O 3.4316 3.8030 0.0660
O 3.6739 1.3899 4.2981
O 3.6739 6.2160 4.2981
O 4.3679 1.4198 1.4853
O 4.3679 6.1861 1.4853
O 4.5539 3.8030 2.9353
CELL_PARAMETERS angstrom
5.2287 0.0000 0.0000
0.0000 7.6059 0.0000
-0.1088 0.0000 5.6071

The records above give, respectively, calculated total energy values of -7.14; -8.32 eV per atom.